The following is a PBE calculation of a relaxed structure of Na2Al2Si3H2O10, from the Materials Project.

Cell and atoms, written as CIF:
```
data_Na2Al2Si3H2O10
_chemical_formula_sum 'Na4 Al4 Si6 H4 O20'
_symmetry_space_group_name_H-M 'P 1'
_symmetry_Int_Tables_number 1
_cell_length_a 9.891
_cell_length_b 9.581
_cell_length_c 12.924
_cell_angle_alpha 49.45
_cell_angle_beta 47.39
_cell_angle_gamma 83.16
loop_
_symmetry_equiv_pos_as_xyz
'x,y,z'
loop_
_atom_site_label
_atom_site_type_symbol
_atom_site_fract_x
_atom_site_fract_y
_atom_site_fract_z
Na1 Na 0.255 0.745 0.314
Na2 Na 0.564 0.936 0.505
Na3 Na 0.745 0.255 0.686
Na4 Na 0.936 0.564 0.995
Al1 Al 0.135 0.877 0.555
Al2 Al 0.695 0.818 0.115
Al3 Al 0.818 0.695 0.373
Al4 Al 0.877 0.135 0.432
Si1 Si 0.135 0.135 0.865
Si2 Si 0.371 0.640 0.558
Si3 Si 0.385 0.385 0.115
Si4 Si 0.640 0.371 0.431
Si5 Si 0.692 0.819 0.879
Si6 Si 0.819 0.692 0.610
H1 H 0.128 0.346 0.519
H2 H 0.243 0.731 0.904
H3 H 0.346 0.128 0.007
H4 H 0.731 0.243 0.122
O1 O 0.030 0.758 0.544
O2 O 0.055 0.949 0.086
O3 O 0.164 0.340 0.195
O4 O 0.188 0.367 0.779
O5 O 0.247 0.746 0.627
O6 O 0.340 0.164 0.301
O7 O 0.367 0.188 0.666
O8 O 0.458 0.747 0.346
O9 O 0.471 0.584 0.062
O10 O 0.582 0.706 0.492
O11 O 0.584 0.471 0.883
O12 O 0.623 0.870 0.003
O13 O 0.706 0.582 0.220
O14 O 0.746 0.247 0.380
O15 O 0.747 0.458 0.449
O16 O 0.758 0.030 0.668
O17 O 0.801 0.904 0.503
O18 O 0.870 0.623 0.504
O19 O 0.904 0.801 0.792
O20 O 0.949 0.055 0.910
```

Space group: Fdd2
Total DFT energy (no corrections) (eV per cell): -249.29
MP2020-corrected energy (hartree per atom): -0.25437
Total magnetic moment (μB/cell): 4.00
Energy relative to the elements (eV per atom): -2.570